Record 1
A plane-wave DFT calculation with PBE with a Hubbard U was carried out for crystalline Li9Mn7O16 at its relaxed geometry.

Cell: 5.0858 7.7788 8.0024 Å, 99.46 98.55 104.11°
Fractional positions:
Li  0.0000  0.0000  0.0000
Li  0.0000  0.5000  0.5000
Li  0.0217  0.2541  0.7616
Li  0.4963  0.1340  0.8788
Li  0.4959  0.6247  0.3624
Li  0.5000  0.5000  0.0000
Li  0.5041  0.3753  0.6376
Li  0.5037  0.8660  0.1212
Li  0.9783  0.7459  0.2384
Mn  0.0064  0.6244  0.8848
Mn  0.0065  0.8736  0.6290
Mn  0.4909  0.2541  0.2385
Mn  0.5000  0.0000  0.5000
Mn  0.5091  0.7459  0.7615
Mn  0.9935  0.1264  0.3710
Mn  0.9936  0.3756  0.1152
O  0.2137  0.6135  0.1052
O  0.2223  0.3691  0.3451
O  0.2264  0.2599  0.0048
O  0.2439  0.0222  0.2548
O  0.2494  0.7664  0.5035
O  0.2498  0.5169  0.7523
O  0.2572  0.1137  0.6250
O  0.2567  0.8559  0.8786
O  0.7433  0.1441  0.1214
O  0.7428  0.8863  0.3750
O  0.7502  0.4831  0.2477
O  0.7506  0.2336  0.4965
O  0.7561  0.9778  0.7452
O  0.7736  0.7401  0.9952
O  0.7777  0.6309  0.6549
O  0.7863  0.3865  0.8948

Computed properties:
- Spin magnetization: 26.00 μB per formula unit
- Energy above the lowest structure with this stoichiometry: 6 meV/atom
- SG: P-1 (2)
- ΔE_f: -2139 meV/atom

***

Record 2
A plane-wave DFT calculation with PBE with a Hubbard U was carried out for crystalline Mg14ZnCoO16 at its relaxed geometry.

Cell: 4.2577 8.5049 8.5619 Å, 90.00 90.00 90.00°
Fractional positions:
Mg  0.0000  0.0000  0.0000
Mg  0.0000  0.2488  0.2500
Mg  0.0000  0.2488  0.7500
Mg  0.0000  0.5000  0.0000
Mg  0.0000  0.7512  0.2500
Mg  0.0000  0.7512  0.7500
Mg  0.5000  0.0000  0.2501
Mg  0.5000  0.0000  0.7499
Mg  0.5000  0.2497  0.0000
Mg  0.5000  0.2504  0.5000
Mg  0.5000  0.5000  0.2498
Mg  0.5000  0.5000  0.7502
Mg  0.5000  0.7503  0.0000
Mg  0.5000  0.7496  0.5000
Zn  0.0000  0.5000  0.5000
Co  0.0000  0.0000  0.5000
O  0.0000  0.0000  0.2444
O  0.0000  0.0000  0.7556
O  0.0000  0.2463  0.5000
O  0.0000  0.2505  0.0000
O  0.0000  0.5000  0.2469
O  0.0000  0.5000  0.7531
O  0.0000  0.7495  0.0000
O  0.0000  0.7537  0.5000
O  0.5000  0.0000  0.0000
O  0.5000  0.0000  0.5000
O  0.5000  0.2503  0.2514
O  0.5000  0.2503  0.7486
O  0.5000  0.5000  0.0000
O  0.5000  0.5000  0.5000
O  0.5000  0.7497  0.2514
O  0.5000  0.7497  0.7486

Computed properties:
- Spin magnetization: 3.00 μB per formula unit
- Energy above the lowest structure with this stoichiometry: 0 meV/atom
- SG: Pmmm (47)
- ΔE_f: -2847 meV/atom

***

Record 3
A plane-wave DFT calculation with PBE with a Hubbard U was carried out for crystalline ZnNi9O10 at its relaxed geometry.

Cell: 5.1949 5.9985 6.7085 Å, 77.09 75.02 73.21°
Fractional positions:
Zn  0.0000  0.0000  0.0000
Ni  0.0000  0.5000  0.0000
Ni  0.2000  0.3008  0.5981
Ni  0.2010  0.7996  0.5989
Ni  0.3999  0.5994  0.2008
Ni  0.4013  0.1000  0.2001
Ni  0.5987  0.9000  0.7999
Ni  0.6001  0.4006  0.7992
Ni  0.7990  0.2004  0.4011
Ni  0.8000  0.6992  0.4019
O  0.0991  0.4005  0.2998
O  0.1005  0.8987  0.3040
O  0.3028  0.6966  0.8991
O  0.3041  0.2019  0.8999
O  0.5000  0.0000  0.5000
O  0.5000  0.5000  0.5000
O  0.6959  0.7981  0.1001
O  0.6972  0.3034  0.1009
O  0.8995  0.1013  0.6960
O  0.9009  0.5995  0.7002

Computed properties:
- Spin magnetization: 18.00 μB per formula unit
- SG: P-1 (2)
- ΔE_f: -1228 meV/atom

***

Record 4
A plane-wave DFT calculation with PBE with a Hubbard U was carried out for crystalline RbPrW2O8 at its relaxed geometry.

Cell: 5.3217 19.1600 8.4045 Å, 90.00 90.00 90.00°
Fractional positions:
Rb  0.0000  0.2306  0.2500
Rb  0.0000  0.7694  0.7500
Rb  0.5000  0.2694  0.7500
Rb  0.5000  0.7306  0.2500
Pr  0.0000  0.0073  0.7500
Pr  0.0000  0.9927  0.2500
Pr  0.5000  0.4927  0.2500
Pr  0.5000  0.5073  0.7500
W  0.0214  0.3994  0.5178
W  0.0214  0.6006  0.0178
W  0.4786  0.1006  0.0178
W  0.4786  0.8994  0.5178
W  0.5214  0.1006  0.4822
W  0.5214  0.8994  0.9822
W  0.9786  0.3994  0.9822
W  0.9786  0.6006  0.4822
O  0.1013  0.3131  0.9754
O  0.1013  0.6869  0.4754
O  0.2230  0.4009  0.3430
O  0.2230  0.5991  0.8430
O  0.2359  0.4087  0.6882
O  0.2359  0.5913  0.1882
O  0.2426  0.4641  0.0024
O  0.2426  0.5359  0.5024
O  0.2574  0.0359  0.5024
O  0.2574  0.9641  0.0024
O  0.2641  0.0913  0.1882
O  0.2641  0.9087  0.6882
O  0.2770  0.0991  0.8430
O  0.2770  0.9009  0.3430
O  0.3987  0.1869  0.4754
O  0.3987  0.8131  0.9754
O  0.6013  0.1869  0.0246
O  0.6013  0.8131  0.5246
O  0.7230  0.0991  0.6570
O  0.7230  0.9009  0.1570
O  0.7359  0.0913  0.3118
O  0.7359  0.9087  0.8118
O  0.7426  0.0359  0.9976
O  0.7426  0.9641  0.4976
O  0.7574  0.4641  0.4976
O  0.7574  0.5359  0.9976
O  0.7641  0.4087  0.8118
O  0.7641  0.5913  0.3118
O  0.7770  0.4009  0.1570
O  0.7770  0.5991  0.6570
O  0.8987  0.3131  0.5246
O  0.8987  0.6869  0.0246

Computed properties:
- Spin magnetization: 0.01 μB per formula unit
- Energy above the lowest structure with this stoichiometry: 0 meV/atom
- SG: Pbcn (60)
- ΔE_f: -2605 meV/atom